Entry 1:
# Li, optimized geometry, DFT r²SCAN
# - Magnetic moment: 0.0 μB/f.u.
# - Excess energy over the best structure of this formula in the dataset: 0.0 meV per atom
data_Li
_chemical_formula_sum 'Li9'
_cell_length_a 3.0787
_cell_length_b 3.0787
_cell_length_c 22.3694
_cell_angle_alpha 90.00
_cell_angle_beta 90.00
_cell_angle_gamma 120.00
_symmetry_space_group_name_H-M 'R -3 m'
_symmetry_Int_Tables_number 166
_symmetry_space_group_name_Hall '-R 3 2"'
loop_
_atom_site_label
_atom_site_type_symbol
_atom_site_fract_x
_atom_site_fract_y
_atom_site_fract_z
_atom_site_occupancy
Li1 Li 0.0000 0.0000 0.0000 1
Li2 Li 0.0000 0.0000 0.2230 1

Entry 2:
# Li, optimized geometry, DFT r²SCAN
# - Magnetic moment: 0.0 μB/f.u.
# - Excess energy over the best structure of this formula in the dataset: 8.8 meV per atom
data_Li
_chemical_formula_sum 'Li16'
_cell_length_a 6.8648
_cell_length_b 6.8648
_cell_length_c 6.8648
_cell_angle_alpha 90.00
_cell_angle_beta 90.00
_cell_angle_gamma 90.00
_symmetry_space_group_name_H-M 'I -4 3 d'
_symmetry_Int_Tables_number 220
_symmetry_space_group_name_Hall 'I -4bd 2c 3'
loop_
_atom_site_label
_atom_site_type_symbol
_atom_site_fract_x
_atom_site_fract_y
_atom_site_fract_z
_atom_site_occupancy
Li1 Li 0.0058 0.4942 0.5058 1

Entry 3:
# Li, optimized geometry, DFT r²SCAN
# - Magnetic moment: 0.0 μB/f.u.
# - Excess energy over the best structure of this formula in the dataset: 1.7 meV per atom
data_Li
_chemical_formula_sum 'Li4'
_cell_length_a 4.3337
_cell_length_b 4.3337
_cell_length_c 4.3337
_cell_angle_alpha 90.00
_cell_angle_beta 90.00
_cell_angle_gamma 90.00
_symmetry_space_group_name_H-M 'F m -3 m'
_symmetry_Int_Tables_number 225
_symmetry_space_group_name_Hall '-F 4 2 3'
loop_
_atom_site_label
_atom_site_type_symbol
_atom_site_fract_x
_atom_site_fract_y
_atom_site_fract_z
_atom_site_occupancy
Li1 Li 0.0000 0.0000 0.0000 1

Entry 4:
# Li, optimized geometry, DFT r²SCAN
# - Magnetic moment: 0.0 μB/f.u.
# - Excess energy over the best structure of this formula in the dataset: 9.7 meV per atom
data_Li
_chemical_formula_sum 'Li2'
_cell_length_a 3.4393
_cell_length_b 3.4393
_cell_length_c 3.4393
_cell_angle_alpha 90.00
_cell_angle_beta 90.00
_cell_angle_gamma 90.00
_symmetry_space_group_name_H-M 'I m -3 m'
_symmetry_Int_Tables_number 229
_symmetry_space_group_name_Hall '-I 4 2 3'
loop_
_atom_site_label
_atom_site_type_symbol
_atom_site_fract_x
_atom_site_fract_y
_atom_site_fract_z
_atom_site_occupancy
Li1 Li 0.0000 0.0000 0.0000 1